Entry 1:
An optimized crystal structure of BeH12N4Cl2. Source: the Materials Project, functional PBE-GGA.

- E_form: -705 meV/atom
- DFT total energy: -374.61 eV/cell

Cell: 9.3845 11.9275 6.8151 Å, 90.00 90.00 90.00°
With the nearest neighbours (Å) after each atom.
Space group Pna2_1 (No. 33)
Symmetry-distinct sites (fractional):
Be 0.2480 0.0825 0.0000  4 N 1.73-1.75
H 0.0031 0.0524 0.0693  1 N 1.02
H 0.0269 0.0915 0.8394  1 N 1.03
H 0.0428 0.1848 0.0142  1 N 1.03
H 0.0741 0.6507 0.2937  1 N 1.03
H 0.0912 0.6650 0.7250  1 N 1.03
H 0.1076 0.4221 0.4922  1 N 1.02
H 0.1742 0.5564 0.1815  1 N 1.04
H 0.2038 0.4227 0.6922  1 N 1.04
H 0.2232 0.7498 0.6569  1 N 1.03
H 0.2231 0.8880 0.9808  1 N 1.03
H 0.2361 0.6843 0.2092  1 N 1.03
H 0.2444 0.1517 0.3178  1 N 1.03
N 0.0640 0.1023 0.9805  3 H 1.02-1.03
N 0.1776 0.6234 0.2785  3 H 1.03-1.04
N 0.1981 0.6677 0.6916  3 H 1.03
N 0.2065 0.4432 0.5440  3 H 1.02-1.04
Cl 0.0318 0.1680 0.5078  4 H 2.39-2.58
Cl 0.1410 0.3903 0.0155  4 H 2.30-2.57

Entry 2:
An optimized crystal structure of Ba3DyIrRuO9. Source: the Materials Project, functional PBE-GGA.

- E_form: -2589 meV/atom
- DFT total energy: -211.31 eV/cell

Cell: 5.9487 5.9487 14.7342 Å, 90.00 90.00 120.00°
With the nearest neighbours (Å) after each atom.
Space group P6_3mc (No. 186)
Symmetry-distinct sites (fractional):
Ba 0.0000 0.0000 0.0000  12 O 2.98-3.00
Ba 0.3333 0.6667 0.1546  12 O 2.90-3.15
Ba 0.3333 0.6667 0.8467  12 O 2.91-3.18
Dy 0.0000 0.0000 0.2514  6 O 2.21-2.25
Ir 0.3333 0.6667 0.4149  6 O 1.99-2.06
Ru 0.3333 0.6667 0.5869  6 O 1.96-2.06
O 0.0188 0.5094 0.5009  1 Ir 2.06, 1 Ru 2.06
O 0.1752 0.3504 0.3377  1 Ir 1.99, 1 Dy 2.21
O 0.1757 0.3514 0.6608  1 Ru 1.96

Entry 3:
An optimized crystal structure of MgNb2. Source: the Materials Project, functional PBE-GGA.

- E_form: 148 meV/atom
- DFT total energy: -85.44 eV/cell
- E above lowest polymorph: 0.000 eV/atom

Cell: 3.4607 4.5441 14.6130 Å, 90.00 90.00 90.00°
With the nearest neighbours (Å) after each atom.
Space group Fmmm (No. 69)
Symmetry-distinct sites (fractional):
Mg 0.0000 0.0000 0.0000  4 Mg 2.86, 4 Nb 3.06
Nb 0.0000 0.0000 0.3275  6 Nb 2.85-2.86, 2 Mg 3.06

Entry 4:
An optimized crystal structure of La3NbGa5O14. Source: the Materials Project, functional PBE-GGA.

- E_form: -2907 meV/atom
- DFT total energy: -166.57 eV/cell

Cell: 8.3226 8.3226 5.2467 Å, 90.00 90.00 120.00°
With the nearest neighbours (Å) after each atom.
Space group P321 (No. 150)
Symmetry-distinct sites (fractional):
La 0.0000 0.5751 0.0000  6 O 2.43-2.66
Nb 0.0000 0.0000 0.0000  6 O 2.07
Ga 0.0000 0.2433 0.5000  4 O 1.88-1.89
Ga 0.3333 0.6667 0.5294  4 O 1.82-1.88
O 0.0780 0.8537 0.2420  1 Ga 1.88, 1 Nb 2.07
O 0.1463 0.4576 0.6980  2 Ga 1.88-1.89
O 0.3333 0.6667 0.1818  1 Ga 1.82

Entry 5:
An optimized crystal structure of K3Rh. Source: the Materials Project, functional PBE-GGA.

- E_form: 541 meV/atom
- DFT total energy: -17.06 eV/cell

Cell: 9.7390 5.7686 6.3198 Å, 90.00 93.18 90.00°
With the nearest neighbours (Å) after each atom.
Space group C2/m (No. 12)
Symmetry-distinct sites (fractional):
K 0.0000 0.0000 0.0000  2 Rh 3.16
K 0.1617 0.5000 0.3832  3 Rh 3.34-3.39, 3 K 3.55-3.63
Rh 0.0000 0.0000 0.5000  8 K 3.16-3.39

Entry 6:
An optimized crystal structure of La3Co2S7. Source: the Materials Project, functional PBE-GGA.

- E_form: -1711 meV/atom
- DFT total energy: -149.98 eV/cell

Cell: 10.1178 10.1178 5.9451 Å, 90.00 90.00 120.00°
With the nearest neighbours (Å) after each atom.
Space group P6_3 (No. 173)
Symmetry-distinct sites (fractional):
La 0.1429 0.3830 0.0000  6 S 2.82-2.94
Co 0.0000 0.0000 0.2623  6 S 2.34-2.36
Co 0.3333 0.6667 0.4053  4 S 2.21-2.23
S 0.0764 0.2051 0.5155  2 Co 2.34-2.36
S 0.0977 0.5844 0.2750  1 Co 2.23
S 0.3333 0.6667 0.7766  1 Co 2.21

Entry 7:
An optimized crystal structure of Li4ZnP2O8. Source: the Materials Project, functional PBE-GGA.

- E_form: -2657 meV/atom
- DFT total energy: -374.64 eV/cell

Cell: 8.2222 10.4043 8.2093 Å, 90.00 104.64 90.00°
With the nearest neighbours (Å) after each atom.
Space group P2_1/c (No. 14)
Symmetry-distinct sites (fractional):
Li 0.0220 0.0729 0.2723  4 O 2.00-2.07
Li 0.1017 0.1645 0.5993  4 O 1.98-2.05
Li 0.1547 0.6621 0.6574  4 O 1.96-1.99
Li 0.3505 0.1513 0.3490  4 O 1.97-2.06
Zn 0.4078 0.6567 0.4087  4 O 1.97-1.98
P 0.2112 0.0915 0.9733  4 O 1.55-1.56
P 0.2676 0.5933 0.0343  4 O 1.55-1.57
O 0.0629 0.1010 0.8132  1 P 1.55
O 0.1167 0.6553 0.0877  1 P 1.56
O 0.1624 0.1500 0.1283  1 P 1.55
O 0.2254 0.0473 0.4782  1 P 1.55
O 0.2557 0.5535 0.5088  1 P 1.56
O 0.3048 0.6697 0.8842  1 P 1.56
O 0.3636 0.1669 0.9394  1 P 1.56
O 0.4283 0.6031 0.1846  1 P 1.57

Entry 8:
An optimized crystal structure of Gd3S4. Source: the Materials Project, functional PBE-GGA.

- E_form: -2347 meV/atom
- DFT total energy: -292.77 eV/cell

Cell: 8.4187 8.4187 8.4187 Å, 90.00 90.00 90.00°
With the nearest neighbours (Å) after each atom.
Space group I-43d (No. 220)
Symmetry-distinct sites (fractional):
Gd 0.0000 0.2500 0.8750  8 S 2.82-3.02
S 0.0722 0.4278 0.5722  6 Gd 2.82-3.02

Entry 9:
An optimized crystal structure of SmGdCo17. Source: the Materials Project, functional PBE-GGA.

- E_form: -80 meV/atom
- DFT total energy: -423.46 eV/cell

Cell: 8.3673 8.3673 12.1252 Å, 90.00 90.00 120.00°
With the nearest neighbours (Å) after each atom.
Space group R3m (No. 160, hexagonal axes)
Symmetry-distinct sites (fractional):
Sm 0.0000 0.0000 0.0000  19 Co 2.99-3.24
Gd 0.0000 0.0000 0.3110  19 Co 2.99-3.23
Co 0.0000 0.0000 0.5589  7 Co 2.33-2.59
Co 0.0000 0.0000 0.7514  7 Co 2.33-2.60
Co 0.9998 0.2869 0.6553  8 Co 2.37-2.58
Co 0.0006 0.5003 0.1552  10 Co 2.37-2.57
Co 0.0036 0.5018 0.5021  9 Co 2.41-2.60
Co 0.1686 0.3372 0.1424  9 Co 2.40-2.59

Entry 10:
An optimized crystal structure of CeMg6Cu. Source: the Materials Project, functional PBE-GGA.

- E_form: 69 meV/atom
- DFT total energy: -38.16 eV/cell
- E above lowest polymorph: 0.000 eV/atom

Cell: 4.9793 6.0189 12.6555 Å, 90.00 90.00 90.00°
With the nearest neighbours (Å) after each atom.
Space group Amm2 (No. 38)
Symmetry-distinct sites (fractional):
Ce 0.0000 0.0000 0.0000  2 Cu 3.13, 8 Mg 3.18-3.44
Mg 0.0000 0.2500 0.2446  1 Cu 2.82, 6 Mg 3.01-3.12
Mg 0.5000 0.0000 0.1558  8 Mg 3.08-3.26, 2 Ce 3.18
Mg 0.5000 0.0000 0.6028  8 Mg 3.08-3.42, 2 Cu 3.29
Mg 0.5000 0.2461 0.3849  2 Cu 2.96, 6 Mg 2.96-3.26, 2 Ce 3.26
Cu 0.0000 0.0000 0.4331  6 Mg 2.82-2.96, 2 Ce 3.13

Entry 11:
An optimized crystal structure of Mg7Cu. Source: the Materials Project, functional PBE-GGA.

- E_form: 27 meV/atom
- DFT total energy: -15.09 eV/cell

Cell: 6.1967 6.1967 5.0107 Å, 90.00 90.00 120.00°
With the nearest neighbours (Å) after each atom.
Space group P-6m2 (No. 187)
Symmetry-distinct sites (fractional):
Mg 0.0000 0.0000 0.0000  12 Mg 3.07-3.10
Mg 0.1659 0.3318 0.5000  10 Mg 3.07-3.11, 2 Cu 3.10
Mg 0.5052 0.0104 0.0000  10 Mg 3.00-3.19, 2 Cu 3.05
Cu 0.6667 0.3333 0.5000  12 Mg 3.05-3.10

Entry 12:
An optimized crystal structure of LuMgMoS4. Source: the Materials Project, functional PBE-GGA.

- E_form: -1518 meV/atom
- DFT total energy: -168.52 eV/cell

Cell: 7.5944 7.6108 10.7014 Å, 90.00 90.00 90.00°
With the nearest neighbours (Å) after each atom.
Space group Imma (No. 74)
Symmetry-distinct sites (fractional):
Lu 0.0000 0.0000 0.0000  6 S 2.66-2.68
Mg 0.0000 0.2500 0.3764  4 S 2.44-2.50
Mo 0.2500 0.2500 0.7500  6 S 2.53-2.55
S 0.0000 0.0260 0.7503  1 Mg 2.50, 2 Mo 2.55, 1 Lu 2.68
S 0.2433 0.2500 0.9863  1 Mg 2.44, 1 Mo 2.53, 2 Lu 2.66

Entry 13:
An optimized crystal structure of GaCuBr3. Source: the Materials Project, functional PBE-GGA.

- E_form: -493 meV/atom
- DFT total energy: -51.60 eV/cell

Cell: 7.6432 7.6432 9.6369 Å, 90.00 90.00 90.00°
With the nearest neighbours (Å) after each atom.
Space group I4/mcm (No. 140)
Symmetry-distinct sites (fractional):
Ga 0.0000 0.0000 0.0000  2 Br 2.41
Cu 0.0000 0.5000 0.2500  4 Br 2.92
Br 0.0000 0.0000 0.2500  2 Ga 2.41
Br 0.1524 0.3476 0.0000  2 Ga 2.90, 2 Cu 2.92

Entry 14:
An optimized crystal structure of YHfMg6O8. Source: the Materials Project, functional PBE-GGA.

- E_form: -2808 meV/atom
- DFT total energy: -105.04 eV/cell
- E above lowest polymorph: 0.000 eV/atom

Cell: 4.4424 4.4424 8.9771 Å, 90.00 90.00 90.00°
With the nearest neighbours (Å) after each atom.
Space group P4/mmm (No. 123)
Symmetry-distinct sites (fractional):
Y 0.0000 0.0000 0.0000  6 O 2.22-2.40
Hf 0.5000 0.5000 0.0000  6 O 2.22-2.35
Mg 0.0000 0.0000 0.5000  6 O 2.09-2.22
Mg 0.0000 0.5000 0.2675  5 O 2.09-2.22
Mg 0.5000 0.5000 0.5000  6 O 2.14-2.22
O 0.0000 0.0000 0.2676  5 Mg 2.09-2.22
O 0.0000 0.5000 0.0000  2 Hf 2.22, 2 Y 2.22, 2 Mg 2.40
O 0.0000 0.5000 0.5000  6 Mg 2.09-2.22
O 0.5000 0.5000 0.2621  5 Mg 2.14-2.22, 1 Hf 2.35

Entry 15:
An optimized crystal structure of PuIr2. Source: the Materials Project, functional PBE-GGA.

- E_form: -100 meV/atom
- DFT total energy: -257.95 eV/cell

Cell: 7.4680 7.4680 7.4680 Å, 90.00 90.00 90.00°
With the nearest neighbours (Å) after each atom.
Space group Fd-3m (No. 227, origin choice 2)
Symmetry-distinct sites (fractional):
Pu 0.1250 0.1250 0.1250  12 Ir 3.10, 4 Pu 3.23
Ir 0.0000 0.0000 0.5000  6 Ir 2.64